Entry 1:
Cs2V4O9: optimized geometry, PBE+U.

a b c (Å): 16.1631 16.1611 5.8545
angles (deg): 79.58 79.55 20.87
With the nearest neighbours (Å) after each atom.
Fractional positions:
Cs 0.2501 0.7499 0.2678  10 O 3.22-3.53
Cs 0.5178 0.9822 0.5001  10 O 3.22-3.53
Cs 0.7499 0.2501 0.7322  10 O 3.22-3.53
Cs 0.9822 0.5178 0.9999  10 O 3.22-3.53
V 0.0067 0.2905 0.5615  1 O 1.67
V 0.1087 0.6885 0.9595  1 O 1.67
V 0.2085 0.4940 0.4385  1 O 1.67
V 0.2905 0.0067 0.1413  1 O 1.67
V 0.3910 0.8115 0.7560  1 O 1.67
V 0.4940 0.2085 0.8590  1 O 1.67
V 0.6885 0.1087 0.2433  1 O 1.67
V 0.8115 0.3910 0.0415  1 O 1.67
O 0.0103 0.7711 0.2924  3 V 1.96-1.99
O 0.0879 0.5128 0.4385  1 V 1.67
O 0.1250 0.1250 0.8750  4 V 2.03
O 0.1773 0.5410 0.7610  3 V 1.96-1.99
O 0.2109 0.6883 0.8394  1 V 1.67
O 0.2892 0.8115 0.7372  1 V 1.67
O 0.3238 0.9576 0.4789  3 V 1.96-1.99
O 0.3750 0.3750 0.1250  4 V 2.03
O 0.4106 0.9885 0.0391  1 V 1.67
O 0.4890 0.7293 0.0727  3 V 1.96-1.99
O 0.5128 0.0879 0.9608  1 V 1.67
O 0.5410 0.1773 0.5207  3 V 1.96-1.99
O 0.6883 0.2109 0.2615  1 V 1.67
O 0.7293 0.4890 0.7090  3 V 1.96-1.99
O 0.7711 0.0103 0.9262  3 V 1.96-1.99
O 0.8115 0.2892 0.1621  1 V 1.67
O 0.9576 0.3238 0.2397  3 V 1.96-1.99
O 0.9885 0.4106 0.5617  1 V 1.67

Calculated values
- Crystal system: orthorhombic
- Space group: Fdd2, No. 43

Entry 2:
CsVO3: optimized geometry, PBE+U.

a b c (Å): 5.6123 12.5464 5.9008
angles (deg): 90.00 90.00 90.00
With the nearest neighbours (Å) after each atom.
Fractional positions:
Cs 0.0858 0.0985 0.2500  10 O 3.18-3.50
Cs 0.0858 0.4015 0.7500  10 O 3.18-3.50
Cs 0.9142 0.5985 0.2500  10 O 3.18-3.50
Cs 0.9142 0.9015 0.7500  10 O 3.18-3.50
V 0.4511 0.6728 0.7500  4 O 1.67-1.84
V 0.4511 0.8272 0.2500  4 O 1.67-1.84
V 0.5489 0.1728 0.7500  4 O 1.67-1.84
V 0.5489 0.3272 0.2500  4 O 1.67-1.84
O 0.1550 0.6536 0.7500  1 V 1.68
O 0.1550 0.8464 0.2500  1 V 1.68
O 0.4081 0.0557 0.7500  1 V 1.67
O 0.4081 0.4443 0.2500  1 V 1.67
O 0.4573 0.2500 0.0000  2 V 1.84
O 0.4573 0.2500 0.5000  2 V 1.84
O 0.5427 0.7500 0.0000  2 V 1.84
O 0.5427 0.7500 0.5000  2 V 1.84
O 0.5919 0.5557 0.7500  1 V 1.67
O 0.5919 0.9443 0.2500  1 V 1.67
O 0.8450 0.1536 0.7500  1 V 1.68
O 0.8450 0.3464 0.2500  1 V 1.68

Calculated values
- Crystal system: orthorhombic
- Space group: Pbcm, No. 57

Entry 3:
Cs2V3O8: optimized geometry, PBE+U.

a b c (Å): 9.0892 9.0892 6.1687
angles (deg): 90.00 90.00 90.00
With the nearest neighbours (Å) after each atom.
Fractional positions:
Cs 0.1748 0.3252 0.0000  6 O 3.00-3.25
Cs 0.3252 0.8252 0.0000  6 O 3.00-3.25
Cs 0.6748 0.1748 0.0000  6 O 3.00-3.25
Cs 0.8252 0.6748 0.0000  6 O 3.00-3.25
V 0.0000 0.0000 0.5155  1 O 1.65
V 0.1320 0.6320 0.5180  4 O 1.67-1.84
V 0.3680 0.1320 0.5180  4 O 1.67-1.84
V 0.5000 0.5000 0.5155  1 O 1.65
V 0.6320 0.8680 0.5180  4 O 1.67-1.84
V 0.8680 0.3680 0.5180  4 O 1.67-1.84
O 0.0000 0.0000 0.2487  1 V 1.65
O 0.0000 0.5000 0.6332  2 V 1.84
O 0.0840 0.8070 0.6119  1 V 1.75
O 0.1245 0.6245 0.2483  1 V 1.67
O 0.1930 0.0840 0.6119  1 V 1.75
O 0.3070 0.5840 0.6119  1 V 1.75
O 0.3755 0.1245 0.2483  1 V 1.67
O 0.4160 0.3070 0.6119  1 V 1.75
O 0.5000 0.0000 0.6332  2 V 1.84
O 0.5000 0.5000 0.2487  1 V 1.65
O 0.5840 0.6930 0.6119  1 V 1.75
O 0.6245 0.8755 0.2483  1 V 1.67
O 0.6930 0.4160 0.6119  1 V 1.75
O 0.8070 0.9160 0.6119  1 V 1.75
O 0.8755 0.3755 0.2483  1 V 1.67
O 0.9160 0.1930 0.6119  1 V 1.75

Calculated values
- Crystal system: tetragonal
- Space group: P4bm, No. 100

Number 1: total energy -106.764 eV per formula unit, corrected total energy (MP2020 scheme) -7.983 eV/atom, ΔE_f -57.0 kcal/mol of atoms. Number 2: total energy -33.153 eV per formula unit, corrected total energy (MP2020 scheme) -7.383 eV/atom, ΔE_f -55.8 kcal/mol of atoms. Number 3: total energy -89.938 eV per formula unit, corrected total energy (MP2020 scheme) -7.733 eV/atom, ΔE_f -56.6 kcal/mol of atoms.